## a
Compound: Li2Mn3NiO8
Source: Materials Project
Functional: PBE with a Hubbard U
Structure: optimized geometry

The structure in CIF format:
```
data_Li2Mn3NiO8
_cell_length_a 5.9028
_cell_length_b 5.9028
_cell_length_c 5.9028
_cell_angle_alpha 59.09
_cell_angle_beta 59.09
_cell_angle_gamma 59.09
_space_group_name_H-M_alt 'P 1'
_space_group_IT_number 1
loop_
_space_group_symop_operation_xyz
'x,y,z'
loop_
_atom_site_label
_atom_site_fract_x
_atom_site_fract_y
_atom_site_fract_z
_atom_site_occupancy
Li1 0.0000 0.0000 0.0000 1
Li2 0.3823 0.3823 0.3823 1
Mn1 0.0000 0.0000 0.4943 1
Mn2 0.0000 0.4943 0.0000 1
Mn3 0.4943 0.0000 0.0000 1
Ni1 0.6152 0.6152 0.6152 1
O1 0.2111 0.7516 0.7516 1
O2 0.2365 0.2365 0.2365 1
O3 0.2476 0.2476 0.7894 1
O4 0.2476 0.7894 0.2476 1
O5 0.7516 0.2111 0.7516 1
O6 0.7516 0.7516 0.2111 1
O7 0.7607 0.7607 0.7607 1
O8 0.7894 0.2476 0.2476 1
```

Maximum piezoelectric response: 0.455 C/m2
Total magnetic moment: 11.003 μB per formula unit
Crystal system: trigonal

## b
Compound: Li2Mn3NiO8
Source: Materials Project
Functional: PBE with a Hubbard U
Structure: optimized geometry

The structure in CIF format:
```
data_Li2Mn3NiO8
_cell_length_a 5.9106
_cell_length_b 5.9106
_cell_length_c 5.9106
_cell_angle_alpha 59.08
_cell_angle_beta 59.08
_cell_angle_gamma 59.08
_space_group_name_H-M_alt 'P 1'
_space_group_IT_number 1
loop_
_space_group_symop_operation_xyz
'x,y,z'
loop_
_atom_site_label
_atom_site_fract_x
_atom_site_fract_y
_atom_site_fract_z
_atom_site_occupancy
Li1 0.1198 0.1198 0.1198 1
Li2 0.8802 0.8802 0.8802 1
Mn1 0.0000 0.5000 0.5000 1
Mn2 0.5000 0.0000 0.5000 1
Mn3 0.5000 0.5000 0.0000 1
Ni1 0.5000 0.5000 0.5000 1
O1 0.2535 0.2535 0.7096 1
O2 0.2535 0.7096 0.2535 1
O3 0.2630 0.2630 0.2630 1
O4 0.2904 0.7465 0.7465 1
O5 0.7096 0.2535 0.2535 1
O6 0.7370 0.7370 0.7370 1
O7 0.7465 0.2904 0.7465 1
O8 0.7465 0.7465 0.2904 1
```

Total magnetic moment: 11.001 μB per formula unit
Crystal system: trigonal

Most stable: b. Least stable: a.

## a
Compound: Li2MnNiO4
Source: Materials Project
Functional: PBE with a Hubbard U
Structure: optimized geometry

The structure in CIF format:
```
data_Li2MnNiO4
_cell_length_a 4.0530
_cell_length_b 4.0530
_cell_length_c 8.6215
_cell_angle_alpha 90.00
_cell_angle_beta 90.00
_cell_angle_gamma 90.00
_space_group_name_H-M_alt 'P 1'
_space_group_IT_number 1
loop_
_space_group_symop_operation_xyz
'x,y,z'
loop_
_atom_site_label
_atom_site_fract_x
_atom_site_fract_y
_atom_site_fract_z
_atom_site_occupancy
Li1 0.0000 0.0000 0.0000 1
Li2 0.0000 0.5000 0.2500 1
Li3 0.5000 0.0000 0.7500 1
Li4 0.5000 0.5000 0.5000 1
Mn1 0.0000 0.5000 0.7500 1
Mn2 0.5000 0.0000 0.2500 1
Ni1 0.0000 0.0000 0.5000 1
Ni2 0.5000 0.5000 0.0000 1
O1 0.0000 0.0000 0.2605 1
O2 0.0000 0.0000 0.7395 1
O3 0.0000 0.5000 0.5262 1
O4 0.0000 0.5000 0.9738 1
O5 0.5000 0.0000 0.0262 1
O6 0.5000 0.0000 0.4738 1
O7 0.5000 0.5000 0.2395 1
O8 0.5000 0.5000 0.7605 1
```

Total magnetic moment: 4.993 μB per formula unit
Crystal system: tetragonal

## b
Compound: Li2MnNiO4
Source: Materials Project
Functional: PBE with a Hubbard U
Structure: optimized geometry

The structure in CIF format:
```
data_Li2MnNiO4
_cell_length_a 5.0731
_cell_length_b 2.9152
_cell_length_c 5.1185
_cell_angle_alpha 90.00
_cell_angle_beta 109.68
_cell_angle_gamma 90.00
_space_group_name_H-M_alt 'P 1'
_space_group_IT_number 1
loop_
_space_group_symop_operation_xyz
'x,y,z'
loop_
_atom_site_label
_atom_site_fract_x
_atom_site_fract_y
_atom_site_fract_z
_atom_site_occupancy
Li1 0.0000 0.0000 0.0000 1
Li2 0.0000 0.5000 0.5000 1
Mn1 0.5000 0.0000 0.5000 1
Ni1 0.5000 0.5000 0.0000 1
O1 0.2731 0.5000 0.2752 1
O2 0.2748 0.0000 0.7364 1
O3 0.7252 0.0000 0.2636 1
O4 0.7269 0.5000 0.7248 1
```

Total magnetic moment: 4.996 μB per formula unit
Crystal system: monoclinic

## c
Compound: Li2MnNiO4
Source: Materials Project
Functional: PBE with a Hubbard U
Structure: optimized geometry

The structure in CIF format:
```
data_Li2MnNiO4
_cell_length_a 5.8802
_cell_length_b 5.8802
_cell_length_c 5.8802
_cell_angle_alpha 120.67
_cell_angle_beta 119.55
_cell_angle_gamma 89.82
_space_group_name_H-M_alt 'P 1'
_space_group_IT_number 1
loop_
_space_group_symop_operation_xyz
'x,y,z'
loop_
_atom_site_label
_atom_site_fract_x
_atom_site_fract_y
_atom_site_fract_z
_atom_site_occupancy
Li1 0.0000 0.0000 0.0000 1
Li2 0.5000 0.0000 0.0000 1
Li3 0.5000 0.0000 0.5000 1
Li4 0.5000 0.5000 0.5000 1
Mn1 0.0000 0.0000 0.5000 1
Mn2 0.0000 0.5000 0.0000 1
Ni1 0.0000 0.5000 0.5000 1
Ni2 0.5000 0.5000 0.0000 1
O1 0.2232 0.2495 0.9738 1
O2 0.2243 0.7505 0.4738 1
O3 0.2316 0.2366 0.5049 1
O4 0.2316 0.7267 0.9951 1
O5 0.7684 0.2733 0.0049 1
O6 0.7684 0.7634 0.4951 1
O7 0.7757 0.2495 0.5262 1
O8 0.7768 0.7505 0.0262 1
```

Total magnetic moment: 1.000 μB per formula unit
Crystal system: orthorhombic

Most stable: c. Least stable: a.

## a
Compound: Li3MnNi2O6
Source: Materials Project
Functional: PBE with a Hubbard U
Structure: optimized geometry

The structure in CIF format:
```
data_Li3MnNi2O6
_cell_length_a 5.1207
_cell_length_b 5.1207
_cell_length_c 9.9740
_cell_angle_alpha 95.10
_cell_angle_beta 95.10
_cell_angle_gamma 58.54
_space_group_name_H-M_alt 'P 1'
_space_group_IT_number 1
loop_
_space_group_symop_operation_xyz
'x,y,z'
loop_
_atom_site_label
_atom_site_fract_x
_atom_site_fract_y
_atom_site_fract_z
_atom_site_occupancy
Li1 0.1346 0.8654 0.7500 1
Li2 0.1863 0.4689 0.2447 1
Li3 0.4689 0.1863 0.7447 1
Li4 0.5311 0.8137 0.2553 1
Li5 0.8137 0.5311 0.7553 1
Li6 0.8654 0.1346 0.2500 1
Mn1 0.0000 0.5000 0.5000 1
Mn2 0.5000 0.0000 0.0000 1
Ni1 0.1711 0.6633 0.9997 1
Ni2 0.3367 0.8289 0.5003 1
Ni3 0.6633 0.1711 0.4997 1
Ni4 0.8289 0.3367 0.0003 1
O1 0.0081 0.1914 0.6077 1
O2 0.1749 0.3101 0.8895 1
O3 0.1914 0.0081 0.1077 1
O4 0.3101 0.1749 0.3895 1
O5 0.3256 0.5051 0.6120 1
O6 0.4949 0.6744 0.8880 1
O7 0.5051 0.3256 0.1120 1
O8 0.6744 0.4949 0.3880 1
O9 0.6899 0.8251 0.6105 1
O10 0.8086 0.9919 0.8923 1
O11 0.8251 0.6899 0.1105 1
O12 0.9919 0.8086 0.3923 1
```

Total magnetic moment: 0.000 μB per formula unit
Crystal system: monoclinic

## b
Compound: Li3MnNi2O6
Source: Materials Project
Functional: PBE with a Hubbard U
Structure: optimized geometry

The structure in CIF format:
```
data_Li3MnNi2O6
_cell_length_a 2.8900
_cell_length_b 12.9168
_cell_length_c 5.8942
_cell_angle_alpha 76.79
_cell_angle_beta 90.02
_cell_angle_gamma 90.00
_space_group_name_H-M_alt 'P 1'
_space_group_IT_number 1
loop_
_space_group_symop_operation_xyz
'x,y,z'
loop_
_atom_site_label
_atom_site_fract_x
_atom_site_fract_y
_atom_site_fract_z
_atom_site_occupancy
Li1 0.0000 0.6667 0.1667 1
Li2 0.5000 0.1666 0.1667 1
Li3 0.0000 0.9979 0.4945 1
Li4 0.5000 0.4979 0.4946 1
Li5 0.0000 0.3354 0.8388 1
Li6 0.5000 0.8354 0.8388 1
Mn1 0.5000 0.1667 0.6666 1
Mn2 0.0000 0.6667 0.6667 1
Ni1 0.0000 0.9981 0.0046 1
Ni2 0.0000 0.3352 0.3287 1
Ni3 0.5000 0.4981 0.0047 1
Ni4 0.5000 0.8352 0.3287 1
O1 0.0002 0.5124 0.7556 1
O2 0.5002 0.0125 0.7555 1
O3 0.9998 0.8208 0.5779 1
O4 0.4998 0.3209 0.5778 1
O5 0.0002 0.8333 0.0958 1
O6 0.5002 0.3333 0.0958 1
O7 0.9998 0.5001 0.2375 1
O8 0.4998 0.0001 0.2376 1
O9 0.9999 0.1646 0.4467 1
O10 0.5000 0.6645 0.4466 1
O11 0.0000 0.1688 0.8866 1
O12 0.5001 0.6688 0.8868 1
```

Total magnetic moment: 0.000 μB per formula unit

Most stable: b. Least stable: a.

## a
Compound: Li4Mn3Ni3P6O24
Source: Materials Project
Functional: PBE with a Hubbard U
Structure: optimized geometry

The structure in CIF format:
```
data_Li4Mn3Ni3P6O24
_cell_length_a 8.3342
_cell_length_b 8.4250
_cell_length_c 8.4350
_cell_angle_alpha 63.16
_cell_angle_beta 64.10
_cell_angle_gamma 64.73
_space_group_name_H-M_alt 'P 1'
_space_group_IT_number 1
loop_
_space_group_symop_operation_xyz
'x,y,z'
loop_
_atom_site_label
_atom_site_fract_x
_atom_site_fract_y
_atom_site_fract_z
_atom_site_occupancy
Li1 0.0000 0.0000 0.0000 1
Li2 0.1005 0.8950 0.5065 1
Li3 0.2032 0.4048 0.3919 1
Li4 0.5859 0.6034 0.8106 1
Mn1 0.0006 0.4159 0.8025 1
Mn2 0.4940 0.8988 0.2985 1
Mn3 0.7046 0.1125 0.5060 1
Ni1 0.1972 0.6077 0.0041 1
Ni2 0.3514 0.7588 0.1471 1
Ni3 0.8419 0.2638 0.6517 1
P1 0.0949 0.1984 0.2072 1
P2 0.2958 0.0037 0.6955 1
P3 0.4127 0.5067 0.5958 1
P4 0.5956 0.2993 0.1098 1
P5 0.7815 0.8169 0.9035 1
P6 0.9110 0.7058 0.4005 1
O1 0.0235 0.2267 0.0558 1
O2 0.1010 0.1523 0.7226 1
O3 0.1044 0.6840 0.2417 1
O4 0.1612 0.3559 0.1759 1
O5 0.2382 0.0001 0.2322 1
O6 0.2601 0.4383 0.6141 1
O7 0.2883 0.8492 0.8925 1
O8 0.3134 0.9372 0.5452 1
O9 0.3702 0.5715 0.7564 1
O10 0.4142 0.6747 0.4027 1
O11 0.4457 0.4945 0.0935 1
O12 0.4619 0.0714 0.6398 1
O13 0.5175 0.1436 0.1572 1
O14 0.5897 0.8368 0.0573 1
O15 0.6074 0.3655 0.5737 1
O16 0.6724 0.2575 0.2638 1
O17 0.7412 0.3200 0.9107 1
O18 0.7460 0.7639 0.3349 1
O19 0.7745 0.0108 0.7390 1
O20 0.8012 0.6628 0.8415 1
O21 0.9008 0.8487 0.4717 1
O22 0.9244 0.5052 0.5484 1
O23 0.9453 0.1757 0.4100 1
O24 0.9467 0.7871 0.9597 1
```

Total magnetic moment: 19.001 μB per formula unit
Crystal system: triclinic

## b
Compound: Li4Mn3Ni3P6O24
Source: Materials Project
Functional: PBE with a Hubbard U
Structure: optimized geometry

The structure in CIF format:
```
data_Li4Mn3Ni3P6O24
_cell_length_a 8.4577
_cell_length_b 8.5501
_cell_length_c 8.5589
_cell_angle_alpha 62.35
_cell_angle_beta 62.75
_cell_angle_gamma 62.72
_space_group_name_H-M_alt 'P 1'
_space_group_IT_number 1
loop_
_space_group_symop_operation_xyz
'x,y,z'
loop_
_atom_site_label
_atom_site_fract_x
_atom_site_fract_y
_atom_site_fract_z
_atom_site_occupancy
Li1 0.0000 0.0000 0.0000 1
Li2 0.1049 0.4978 0.8745 1
Li3 0.4754 0.7079 0.2946 1
Li4 0.8940 0.0771 0.5038 1
Mn1 0.2617 0.8535 0.6439 1
Mn2 0.7325 0.3554 0.1454 1
Mn3 0.8949 0.5014 0.3006 1
Ni1 0.1049 0.7043 0.5025 1
Ni2 0.3924 0.0013 0.7925 1
Ni3 0.6063 0.2080 0.0011 1
P1 0.0025 0.3071 0.6988 1
P2 0.1972 0.1071 0.1918 1
P3 0.2983 0.6066 0.1028 1
P4 0.5041 0.3984 0.6046 1
P5 0.7023 0.9030 0.4038 1
P6 0.8010 0.8105 0.9043 1
O1 0.0691 0.4581 0.6723 1
O2 0.1325 0.5405 0.1474 1
O3 0.1500 0.1096 0.7162 1
O4 0.1780 0.9533 0.3889 1
O5 0.2012 0.0533 0.0423 1
O6 0.2757 0.6688 0.2553 1
O7 0.2901 0.7701 0.9173 1
O8 0.3510 0.5964 0.5768 1
O9 0.3600 0.1671 0.1426 1
O10 0.4471 0.2435 0.6272 1
O11 0.4877 0.4507 0.0773 1
O12 0.5078 0.9206 0.5525 1
O13 0.5715 0.3649 0.7552 1
O14 0.6339 0.8503 0.8546 1
O15 0.6623 0.4241 0.4020 1
O16 0.7019 0.0857 0.2345 1
O17 0.7383 0.7386 0.3430 1
O18 0.7897 0.9579 0.9651 1
O19 0.8161 0.6099 0.0649 1
O20 0.8484 0.2828 0.8928 1
O21 0.8552 0.8723 0.4727 1
O22 0.9394 0.3444 0.5360 1
O23 0.9973 0.2676 0.2214 1
O24 0.9966 0.7771 0.7495 1
```

Total magnetic moment: 19.000 μB per formula unit
Crystal system: triclinic

Most stable: a. Least stable: b.